Record 1
KCaTiBiO6 | PBE | relaxed

Output
- Calculated volume: 134 Å³/f.u.
- E: -6.47 eV/atom

Cell: 5.751 5.751 5.751 Å, 60.00 60.00 60.00°
Sites, in units of the cell vectors:
K 0.250 0.250 0.250
Ca 0.750 0.750 0.750
Ti 0.500 0.500 0.500
Bi 0.000 0.000 0.000
O 0.741 0.259 0.259
O 0.259 0.741 0.741
O 0.741 0.259 0.741
O 0.259 0.741 0.259
O 0.741 0.741 0.259
O 0.259 0.259 0.741

Record 2
KCaZrBiO6 | PBE | relaxed

Output
- Calculated volume: 148 Å³/f.u.
- E: -6.62 eV/atom

Cell: 5.933 5.933 5.933 Å, 60.00 60.00 60.00°
Sites, in units of the cell vectors:
K 0.750 0.750 0.750
Ca 0.250 0.250 0.250
Zr 0.500 0.500 0.500
Bi 0.000 0.000 0.000
O 0.749 0.251 0.251
O 0.251 0.749 0.749
O 0.749 0.251 0.749
O 0.251 0.749 0.251
O 0.749 0.749 0.251
O 0.251 0.251 0.749

Record 3
CaLa2BiO6 | PBE | relaxed

Output
- Calculated volume: 168 Å³/f.u.
- E: -7.12 eV/atom

Cell: 6.250 6.250 6.250 Å, 58.88 58.88 58.88°
Sites, in units of the cell vectors:
Ca 0.500 0.500 0.500
La 0.782 0.782 0.782
La 0.218 0.218 0.218
Bi 0.000 0.000 0.000
O 0.794 0.365 0.122
O 0.122 0.794 0.365
O 0.365 0.122 0.794
O 0.206 0.635 0.878
O 0.635 0.878 0.206
O 0.878 0.206 0.635

Record 4
CaMg6Bi | PBE | relaxed

Output
- Calculated volume: 204 Å³/f.u.
- E: -2.03 eV/atom
- Offset from the most stable computed form: 0 meV/atom

Cell: 5.458 6.368 11.758 Å, 90.00 90.00 90.00°
Sites, in units of the cell vectors:
Ca 0.500 0.000 0.169
Ca 0.500 0.500 0.669
Mg 0.500 0.249 0.417
Mg 0.500 0.751 0.417
Mg 0.000 0.749 0.078
Mg 0.000 0.251 0.078
Mg 0.000 0.000 0.338
Mg 0.000 0.500 0.338
Mg 0.500 0.749 0.917
Mg 0.500 0.251 0.917
Mg 0.000 0.249 0.578
Mg 0.000 0.751 0.578
Mg 0.000 0.500 0.838
Mg 0.000 0.000 0.838
Bi 0.500 0.500 0.165
Bi 0.500 0.000 0.665

Record 5
CaMg6Bi | PBE | relaxed

Output
- Calculated volume: 206 Å³/f.u.
- E: -2.01 eV/atom
- Offset from the most stable computed form: 12 meV/atom

Cell: 5.274 6.802 11.482 Å, 90.00 90.00 90.00°
Sites, in units of the cell vectors:
Ca 0.000 0.500 0.331
Ca 0.000 0.000 0.831
Mg 0.000 0.242 0.079
Mg 0.000 0.758 0.079
Mg 0.000 0.500 0.837
Mg 0.500 0.262 0.920
Mg 0.500 0.738 0.920
Mg 0.500 0.500 0.668
Mg 0.000 0.742 0.579
Mg 0.000 0.258 0.579
Mg 0.000 0.000 0.337
Mg 0.500 0.762 0.420
Mg 0.500 0.238 0.420
Mg 0.500 0.000 0.168
Bi 0.500 0.500 0.166
Bi 0.500 0.000 0.666

Record 6
CaMg14Bi | PBE | relaxed

Output
- Calculated volume: 388 Å³/f.u.
- E: -1.81 eV/atom
- Offset from the most stable computed form: 0 meV/atom

Cell: 6.577 6.400 10.560 Å, 90.00 90.00 119.11°
Sites, in units of the cell vectors:
Ca 0.165 0.332 0.125
Mg 0.165 0.333 0.625
Mg 0.165 0.832 0.625
Mg 0.666 0.330 0.125
Mg 0.667 0.334 0.625
Mg 0.666 0.836 0.125
Mg 0.667 0.832 0.625
Mg 0.338 0.170 0.385
Mg 0.338 0.170 0.865
Mg 0.338 0.668 0.385
Mg 0.338 0.668 0.865
Mg 0.830 0.165 0.381
Mg 0.830 0.165 0.869
Mg 0.828 0.664 0.377
Mg 0.828 0.664 0.873
Bi 0.172 0.836 0.125

Record 7
CaMg14Bi | PBE | relaxed

Output
- Calculated volume: 392 Å³/f.u.
- E: -1.77 eV/atom
- Offset from the most stable computed form: 38 meV/atom

Cell: 6.532 6.532 10.601 Å, 90.00 90.00 120.00°
Sites, in units of the cell vectors:
Ca 0.167 0.333 0.125
Mg 0.171 0.835 0.125
Mg 0.163 0.831 0.625
Mg 0.665 0.329 0.125
Mg 0.669 0.337 0.625
Mg 0.665 0.835 0.125
Mg 0.669 0.831 0.625
Mg 0.336 0.164 0.376
Mg 0.336 0.164 0.874
Mg 0.336 0.672 0.376
Mg 0.336 0.672 0.874
Mg 0.828 0.164 0.376
Mg 0.828 0.164 0.874
Mg 0.833 0.667 0.371
Mg 0.833 0.667 0.879
Bi 0.167 0.333 0.625

Record 8
CaMg6BiO8 | PBE | relaxed

Output
- Calculated volume: 193 Å³/f.u.
- E: -5.67 eV/atom
- Offset from the most stable computed form: 0 meV/atom

Cell: 9.462 4.517 4.517 Å, 90.00 90.00 90.00°
Sites, in units of the cell vectors:
Ca 0.000 0.000 0.000
Mg 0.500 0.000 0.000
Mg 0.500 0.500 0.500
Mg 0.281 0.000 0.500
Mg 0.719 0.000 0.500
Mg 0.281 0.500 0.000
Mg 0.719 0.500 0.000
Bi 0.000 0.500 0.500
O 0.269 0.000 0.000
O 0.731 0.000 0.000
O 0.288 0.500 0.500
O 0.712 0.500 0.500
O 0.000 0.000 0.500
O 0.500 0.000 0.500
O 0.000 0.500 0.000
O 0.500 0.500 0.000